Record 1
{"formula": "Na10Zn6Si3Sn2S9O48", "functional": "PBE-GGA", "state": "relaxed", "lattice": [[8.976, 0.000, 0.000], [-0.016, 15.461, 0.000], [-0.115, -0.059, 22.617]], "species": ["Na", "Na", "Na", "Na", "Na", "Na", "Na", "Na", "Na", "Na", "Na", "Na", "Na", "Na", "Na", "Na", "Na", "Na", "Na", "Na", "Na", "Na", "Na", "Na", "Na", "Na", "Na", "Na", "Na", "Na", "Zn", "Zn", "Zn", "Zn", "Zn", "Zn", "Zn", "Zn", "Zn", "Zn", "Zn", "Zn", "Zn", "Zn", "Zn", "Zn", "Zn", "Zn", "Si", "Si", "Si", "Si", "Si", "Si", "Si", "Si", "Si", "Sn", "Sn", "Sn", "Sn", "Sn", "Sn", "S", "S", "S", "S", "S", "S", "S", "S", "S", "S", "S", "S", "S", "S", "S", "S", "S", "S", "S", "S", "S", "S", "S", "S", "S", "S", "S", "O", "O", "O", "O", "O", "O", "O", "O", "O", "O", "O", "O", "O", "O", "O", "O", "O", "O", "O", "O", "O", "O", "O", "O", "O", "O", "O", "O", "O", "O", "O", "O", "O", "O", "O", "O", "O", "O", "O", "O", "O", "O", "O", "O", "O", "O", "O", "O", "O", "O", "O", "O", "O", "O", "O", "O", "O", "O", "O", "O", "O", "O", "O", "O", "O", "O", "O", "O", "O", "O", "O", "O", "O", "O", "O", "O", "O", "O", "O", "O", "O", "O", "O", "O", "O", "O", "O", "O", "O", "O", "O", "O", "O", "O", "O", "O", "O", "O", "O", "O", "O", "O", "O", "O", "O", "O", "O", "O", "O", "O", "O", "O", "O", "O", "O", "O", "O", "O", "O", "O", "O", "O", "O", "O", "O", "O", "O", "O", "O", "O", "O", "O", "O", "O", "O", "O", "O", "O", "O", "O", "O", "O", "O", "O"], "frac_coords": [[0.000, 0.000, 0.000], [0.000, 0.036, 0.329], [0.125, 0.500, 0.499], [0.127, 0.536, 0.829], [0.140, 0.168, 0.836], [0.174, 0.191, 0.499], [0.184, 0.522, 0.165], [0.299, 0.356, 0.581], [0.305, 0.688, 0.745], [0.312, 0.022, 0.917], [0.313, 0.017, 0.413], [0.318, 0.345, 0.081], [0.322, 0.679, 0.246], [0.448, 0.854, 0.335], [0.485, 0.165, 0.332], [0.488, 0.870, 0.000], [0.498, 0.498, 0.002], [0.502, 0.194, 0.669], [0.622, 0.042, 0.828], [0.626, 0.998, 0.503], [0.636, 0.371, 0.499], [0.641, 0.664, 0.832], [0.671, 0.351, 0.834], [0.806, 0.181, 0.745], [0.811, 0.517, 0.913], [0.812, 0.849, 0.583], [0.814, 0.521, 0.416], [0.819, 0.188, 0.245], [0.821, 0.853, 0.082], [0.951, 0.690, 0.000], [0.289, 0.350, 0.430], [0.309, 0.019, 0.065], [0.309, 0.681, 0.403], [0.313, 0.689, 0.598], [0.315, 0.688, 0.103], [0.320, 0.026, 0.267], [0.322, 0.006, 0.575], [0.326, 0.346, 0.930], [0.327, 0.022, 0.762], [0.798, 0.187, 0.902], [0.799, 0.508, 0.075], [0.800, 0.520, 0.262], [0.805, 0.526, 0.767], [0.808, 0.848, 0.432], [0.812, 0.188, 0.098], [0.816, 0.520, 0.565], [0.821, 0.183, 0.603], [0.835, 0.848, 0.932], [0.168, 0.833, 0.004], [0.169, 0.206, 0.333], [0.459, 0.202, 0.833], [0.461, 0.500, 0.837], [0.517, 0.522, 0.166], [0.614, 0.019, 0.665], [0.665, 0.998, 0.337], [0.956, 0.706, 0.833], [0.958, 0.333, 0.504], [0.302, 0.690, 0.897], [0.314, 0.352, 0.231], [0.318, 0.357, 0.735], [0.811, 0.855, 0.233], [0.818, 0.852, 0.728], [0.823, 0.190, 0.397], [0.017, 0.019, 0.166], [0.020, 0.688, 0.500], [0.021, 0.351, 0.834], [0.103, 0.188, 0.999], [0.104, 0.849, 0.333], [0.108, 0.519, 0.667], [0.161, 0.535, 0.001], [0.162, 0.503, 0.333], [0.164, 0.167, 0.667], [0.169, 0.871, 0.667], [0.458, 0.831, 0.498], [0.459, 0.541, 0.500], [0.460, 0.873, 0.167], [0.463, 0.164, 0.165], [0.519, 0.186, 0.500], [0.522, 0.853, 0.835], [0.606, 0.355, 0.335], [0.607, 0.686, 0.999], [0.662, 0.664, 0.665], [0.665, 0.039, 0.000], [0.666, 0.374, 0.666], [0.667, 0.704, 0.334], [0.668, 0.333, 0.000], [0.956, 0.667, 0.167], [0.957, 0.370, 0.166], [0.962, 0.999, 0.833], [0.963, 0.036, 0.501], [0.000, 0.862, 0.670], [0.004, 0.179, 0.663], [0.007, 0.198, 0.052], [0.009, 0.864, 0.385], [0.011, 0.171, 0.944], [0.013, 0.833, 0.278], [0.018, 0.504, 0.613], [0.018, 0.528, 0.721], [0.107, 0.005, 0.113], [0.107, 0.028, 0.221], [0.113, 0.334, 0.779], [0.113, 0.700, 0.553], [0.114, 0.369, 0.885], [0.114, 0.671, 0.446], [0.119, 0.677, 0.163], [0.124, 0.007, 0.825], [0.127, 0.364, 0.171], [0.128, 0.032, 0.506], [0.140, 0.344, 0.496], [0.140, 0.695, 0.836], [0.185, 0.591, 0.945], [0.186, 0.924, 0.613], [0.191, 0.450, 0.386], [0.193, 0.765, 0.056], [0.194, 0.116, 0.721], [0.196, 0.107, 0.005], [0.196, 0.267, 0.275], [0.197, 0.266, 0.995], [0.197, 0.928, 0.326], [0.203, 0.435, 0.671], [0.205, 0.773, 0.338], [0.207, 0.595, 0.661], [0.229, 0.912, 0.720], [0.231, 0.449, 0.993], [0.232, 0.462, 0.278], [0.233, 0.576, 0.053], [0.234, 0.129, 0.613], [0.234, 0.589, 0.338], [0.236, 0.108, 0.326], [0.236, 0.784, 0.661], [0.244, 0.256, 0.671], [0.245, 0.930, 0.006], [0.251, 0.242, 0.392], [0.256, 0.794, 0.943], [0.367, 0.464, 0.778], [0.370, 0.245, 0.887], [0.381, 0.106, 0.828], [0.386, 0.580, 0.552], [0.387, 0.600, 0.841], [0.389, 0.920, 0.502], [0.390, 0.253, 0.170], [0.391, 0.452, 0.494], [0.392, 0.123, 0.113], [0.396, 0.786, 0.163], [0.396, 0.792, 0.443], [0.397, 0.602, 0.160], [0.400, 0.914, 0.221], [0.401, 0.432, 0.173], [0.418, 0.109, 0.503], [0.423, 0.927, 0.827], [0.427, 0.778, 0.551], [0.429, 0.266, 0.493], [0.433, 0.593, 0.445], [0.434, 0.444, 0.896], [0.434, 0.770, 0.838], [0.438, 0.115, 0.221], [0.440, 0.925, 0.113], [0.441, 0.264, 0.772], [0.486, 0.006, 0.327], [0.493, 0.363, 0.669], [0.499, 0.675, 0.658], [0.501, 0.700, 0.338], [0.502, 0.029, 0.006], [0.503, 0.343, 0.997], [0.509, 0.698, 0.051], [0.511, 0.337, 0.282], [0.514, 0.669, 0.944], [0.515, 0.366, 0.389], [0.517, 0.037, 0.725], [0.519, 0.003, 0.604], [0.602, 0.501, 0.104], [0.613, 0.169, 0.445], [0.613, 0.197, 0.552], [0.613, 0.867, 0.888], [0.617, 0.535, 0.224], [0.617, 0.837, 0.781], [0.623, 0.530, 0.506], [0.623, 0.842, 0.496], [0.626, 0.175, 0.159], [0.632, 0.864, 0.172], [0.639, 0.506, 0.827], [0.643, 0.196, 0.838], [0.687, 0.616, 0.720], [0.688, 0.426, 0.613], [0.688, 0.762, 0.279], [0.692, 0.089, 0.944], [0.692, 0.270, 0.338], [0.692, 0.939, 0.394], [0.695, 0.766, 0.994], [0.699, 0.279, 0.052], [0.706, 0.609, 0.003], [0.707, 0.428, 0.328], [0.713, 0.109, 0.659], [0.717, 0.929, 0.672], [0.725, 0.415, 0.721], [0.726, 0.286, 0.662], [0.729, 0.295, 0.944], [0.733, 0.623, 0.613], [0.733, 0.950, 0.994], [0.734, 0.745, 0.386], [0.735, 0.753, 0.670], [0.737, 0.619, 0.327], [0.738, 0.421, 0.004], [0.739, 0.080, 0.051], [0.739, 0.097, 0.341], [0.757, 0.959, 0.278], [0.870, 0.294, 0.443], [0.874, 0.742, 0.892], [0.880, 0.430, 0.506], [0.883, 0.757, 0.173], [0.884, 0.960, 0.781], [0.889, 0.077, 0.551], [0.890, 0.608, 0.826], [0.891, 0.284, 0.159], [0.891, 0.631, 0.112], [0.893, 0.087, 0.838], [0.894, 0.950, 0.493], [0.897, 0.411, 0.220], [0.918, 0.095, 0.161], [0.922, 0.936, 0.170], [0.923, 0.428, 0.825], [0.925, 0.766, 0.492], [0.927, 0.608, 0.505], [0.928, 0.272, 0.839], [0.929, 0.613, 0.219], [0.929, 0.768, 0.775], [0.933, 0.265, 0.556], [0.933, 0.949, 0.888], [0.940, 0.090, 0.444], [0.941, 0.426, 0.113], [0.986, 0.194, 0.336], [0.986, 0.844, 0.997], [0.996, 0.532, 0.006], [0.998, 0.509, 0.325]], "formation_enthalpy_0k_ev_per_atom": -2.10, "spacegroup": "P1", "final_energy_ev_per_atom": -5.776, "magnetic_moment_mub_per_cell": 0.0}


Record 2
{"formula": "Na2Zn4SiSn4S11O48", "functional": "PBE-GGA", "state": "relaxed", "lattice": [[8.744, 0.000, 0.000], [0.009, 15.106, 0.000], [0.013, 0.033, 22.810]], "species": ["Na", "Na", "Na", "Na", "Na", "Na", "Zn", "Zn", "Zn", "Zn", "Zn", "Zn", "Zn", "Zn", "Zn", "Zn", "Zn", "Zn", "Si", "Si", "Si", "Sn", "Sn", "Sn", "Sn", "Sn", "Sn", "Sn", "Sn", "Sn", "Sn", "Sn", "Sn", "S", "S", "S", "S", "S", "S", "S", "S", "S", "S", "S", "S", "S", "S", "S", "S", "S", "S", "S", "S", "S", "S", "S", "S", "S", "S", "S", "S", "S", "S", "S", "S", "S", "O", "O", "O", "O", "O", "O", "O", "O", "O", "O", "O", "O", "O", "O", "O", "O", "O", "O", "O", "O", "O", "O", "O", "O", "O", "O", "O", "O", "O", "O", "O", "O", "O", "O", "O", "O", "O", "O", "O", "O", "O", "O", "O", "O", "O", "O", "O", "O", "O", "O", "O", "O", "O", "O", "O", "O", "O", "O", "O", "O", "O", "O", "O", "O", "O", "O", "O", "O", "O", "O", "O", "O", "O", "O", "O", "O", "O", "O", "O", "O", "O", "O", "O", "O", "O", "O", "O", "O", "O", "O", "O", "O", "O", "O", "O", "O", "O", "O", "O", "O", "O", "O", "O", "O", "O", "O", "O", "O", "O", "O", "O", "O", "O", "O", "O", "O", "O", "O", "O", "O", "O", "O", "O", "O", "O", "O", "O", "O", "O", "O", "O", "O", "O", "O", "O", "O", "O", "O", "O", "O", "O", "O", "O", "O"], "frac_coords": [[0.000, 0.000, 0.000], [0.000, 0.000, 0.494], [0.508, 0.494, 0.498], [0.508, 0.498, 0.992], [0.513, 0.159, 0.155], [0.995, 0.660, 0.661], [0.000, 0.997, 0.341], [0.001, 0.000, 0.645], [0.001, 0.322, 0.473], [0.001, 0.996, 0.845], [0.501, 0.829, 0.184], [0.502, 0.497, 0.146], [0.503, 0.491, 0.343], [0.504, 0.166, 0.516], [0.510, 0.496, 0.641], [0.513, 0.498, 0.848], [0.514, 0.160, 0.017], [0.998, 0.999, 0.141], [0.644, 0.679, 0.578], [0.705, 0.659, 0.912], [0.853, 0.177, 0.079], [0.000, 0.321, 0.976], [0.000, 0.662, 0.304], [0.002, 0.325, 0.679], [0.502, 0.162, 0.810], [0.506, 0.160, 0.312], [0.506, 0.827, 0.475], [0.508, 0.827, 0.975], [0.510, 0.826, 0.682], [0.994, 0.658, 0.514], [0.995, 0.662, 0.015], [0.996, 0.661, 0.812], [0.999, 0.323, 0.180], [0.149, 0.180, 0.576], [0.149, 0.512, 0.913], [0.149, 0.810, 0.911], [0.149, 0.851, 0.244], [0.151, 0.140, 0.245], [0.151, 0.471, 0.576], [0.209, 0.829, 0.578], [0.212, 0.492, 0.244], [0.213, 0.159, 0.913], [0.293, 0.661, 0.411], [0.294, 0.994, 0.745], [0.297, 0.330, 0.078], [0.353, 0.014, 0.414], [0.354, 0.640, 0.745], [0.355, 0.680, 0.078], [0.356, 0.308, 0.413], [0.357, 0.350, 0.745], [0.357, 0.972, 0.079], [0.643, 0.640, 0.245], [0.646, 0.307, 0.912], [0.648, 0.349, 0.244], [0.650, 0.976, 0.578], [0.651, 0.016, 0.912], [0.710, 0.993, 0.245], [0.711, 0.327, 0.576], [0.795, 0.829, 0.080], [0.796, 0.159, 0.413], [0.796, 0.493, 0.744], [0.855, 0.474, 0.078], [0.855, 0.513, 0.410], [0.856, 0.140, 0.745], [0.859, 0.809, 0.411], [0.860, 0.850, 0.744], [0.070, 0.425, 0.920], [0.074, 0.888, 0.193], [0.075, 0.092, 0.585], [0.075, 0.221, 0.526], [0.075, 0.437, 0.632], [0.075, 0.759, 0.251], [0.075, 0.896, 0.904], [0.077, 0.551, 0.859], [0.078, 0.563, 0.573], [0.079, 0.768, 0.965], [0.085, 0.103, 0.299], [0.085, 0.232, 0.240], [0.108, 0.413, 0.237], [0.110, 0.573, 0.251], [0.110, 0.907, 0.584], [0.114, 0.082, 0.904], [0.118, 0.420, 0.524], [0.118, 0.746, 0.571], [0.119, 0.243, 0.915], [0.122, 0.901, 0.299], [0.127, 0.570, 0.966], [0.128, 0.236, 0.632], [0.131, 0.752, 0.858], [0.132, 0.088, 0.193], [0.179, 0.651, 0.751], [0.184, 0.672, 0.069], [0.186, 0.338, 0.737], [0.188, 0.003, 0.406], [0.190, 0.976, 0.082], [0.191, 0.316, 0.419], [0.195, 0.676, 0.359], [0.198, 0.646, 0.466], [0.201, 0.316, 0.132], [0.201, 0.349, 0.024], [0.204, 0.009, 0.691], [0.204, 0.977, 0.798], [0.300, 0.478, 0.298], [0.301, 0.509, 0.191], [0.301, 0.845, 0.524], [0.302, 0.813, 0.631], [0.304, 0.176, 0.857], [0.308, 0.147, 0.964], [0.313, 0.502, 0.906], [0.314, 0.837, 0.238], [0.315, 0.172, 0.571], [0.315, 0.481, 0.584], [0.316, 0.817, 0.919], [0.325, 0.151, 0.252], [0.372, 0.588, 0.692], [0.377, 0.735, 0.130], [0.378, 0.252, 0.357], [0.379, 0.402, 0.798], [0.381, 0.916, 0.022], [0.383, 0.068, 0.466], [0.383, 0.743, 0.417], [0.384, 0.248, 0.071], [0.389, 0.582, 0.406], [0.392, 0.410, 0.084], [0.396, 0.074, 0.752], [0.396, 0.913, 0.737], [0.418, 0.732, 0.739], [0.420, 0.602, 0.798], [0.423, 0.591, 0.083], [0.423, 0.719, 0.023], [0.425, 0.258, 0.752], [0.426, 0.059, 0.070], [0.426, 0.387, 0.692], [0.427, 0.050, 0.359], [0.430, 0.267, 0.463], [0.430, 0.396, 0.404], [0.430, 0.924, 0.419], [0.430, 0.930, 0.130], [0.568, 0.584, 0.582], [0.569, 0.723, 0.518], [0.574, 0.928, 0.917], [0.574, 0.936, 0.631], [0.575, 0.394, 0.904], [0.576, 0.061, 0.570], [0.578, 0.053, 0.856], [0.578, 0.257, 0.250], [0.578, 0.266, 0.963], [0.579, 0.386, 0.191], [0.579, 0.600, 0.299], [0.580, 0.728, 0.237], [0.602, 0.572, 0.907], [0.606, 0.749, 0.919], [0.608, 0.078, 0.251], [0.609, 0.917, 0.238], [0.614, 0.406, 0.585], [0.619, 0.246, 0.571], [0.623, 0.400, 0.298], [0.624, 0.071, 0.963], [0.627, 0.583, 0.193], [0.628, 0.918, 0.524], [0.629, 0.743, 0.636], [0.630, 0.251, 0.857], [0.670, 0.174, 0.075], [0.685, 0.150, 0.752], [0.689, 0.483, 0.084], [0.689, 0.508, 0.404], [0.689, 0.840, 0.740], [0.690, 0.815, 0.417], [0.696, 0.143, 0.464], [0.697, 0.811, 0.130], [0.703, 0.177, 0.357], [0.704, 0.844, 0.024], [0.706, 0.510, 0.691], [0.709, 0.478, 0.797], [0.799, 0.981, 0.299], [0.802, 0.012, 0.193], [0.804, 0.311, 0.632], [0.810, 0.682, 0.854], [0.811, 0.344, 0.526], [0.814, 0.640, 0.970], [0.817, 0.005, 0.903], [0.817, 0.317, 0.916], [0.817, 0.647, 0.251], [0.817, 0.980, 0.585], [0.818, 0.341, 0.240], [0.835, 0.675, 0.573], [0.876, 0.087, 0.692], [0.876, 0.243, 0.136], [0.877, 0.571, 0.464], [0.880, 0.751, 0.359], [0.881, 0.421, 0.024], [0.885, 0.901, 0.798], [0.889, 0.240, 0.418], [0.891, 0.746, 0.073], [0.892, 0.079, 0.405], [0.895, 0.905, 0.084], [0.898, 0.413, 0.737], [0.901, 0.574, 0.748], [0.925, 0.102, 0.798], [0.925, 0.230, 0.738], [0.926, 0.888, 0.691], [0.929, 0.436, 0.131], [0.929, 0.896, 0.405], [0.930, 0.428, 0.418], [0.930, 0.768, 0.465], [0.931, 0.556, 0.358], [0.931, 0.758, 0.748], [0.933, 0.561, 0.073], [0.939, 0.083, 0.083], [0.939, 0.220, 0.020]], "formation_enthalpy_0k_ev_per_atom": -1.93, "spacegroup": "P1", "final_energy_ev_per_atom": -5.917, "magnetic_moment_mub_per_cell": 0.0}